No. 1
The following is a GGA+U calculation of an optimized crystal structure of W10O29, from the Materials Project.

```
78
Lattice="12.2799 0.0000 0.0000 0.0000 3.8574 0.0000 -1.9563 0.0000 23.8833" Properties=species:S:1:pos:R:3 pbc="T T T"
W -0.4249 0.0000 7.6907
W -0.2238 0.0000 19.8469
W 0.8503 0.0000 11.3164
W 1.9145 0.0000 2.8124
W 0.9566 0.0000 23.5780
W 2.1219 0.0000 14.9343
W 3.2471 0.0000 6.4804
W 3.4037 0.0000 18.5753
W 4.5248 0.0000 10.1306
W 5.6848 0.0000 1.6166
W 4.6388 0.0000 22.2667
W 5.7988 0.0000 13.7527
W 6.9200 0.0000 5.3080
W 7.0765 0.0000 17.4030
W 8.2017 0.0000 8.9490
W 9.3671 0.0000 0.3053
W 8.4091 0.0000 21.0709
W 9.4733 0.0000 12.5669
W 10.5475 0.0000 4.0364
W 10.7486 0.0000 16.1926
O -0.9781 0.0000 11.9417
O -0.4128 1.9287 7.5998
O 0.1257 0.0000 3.2844
O -0.8784 0.0000 18.1271
O 0.2299 0.0000 9.4500
O -0.2379 1.9287 19.9877
O 1.4080 0.0000 0.7760
O 0.2865 0.0000 15.6344
O 0.8502 1.9287 11.3094
O 1.4095 0.0000 6.9516
O 0.3577 0.0000 21.8492
O 1.9545 1.9287 2.6898
O 1.4909 0.0000 13.1610
O 1.0866 1.9287 23.5926
O 2.6955 0.0000 4.4737
O 1.5975 0.0000 19.3657
O 2.1216 1.9287 15.0124
O 2.6913 0.0000 10.7065
O 3.2456 1.9287 6.3587
O 3.6895 0.0000 1.7449
O 2.7476 0.0000 16.8574
O 3.8681 0.0000 8.2308
O 2.9837 0.0000 23.4466
O 3.4093 1.9287 18.7037
O 3.9636 0.0000 14.4063
O 4.5234 1.9287 10.0842
O 5.0891 0.0000 5.7868
O 4.0277 0.0000 20.5586
O 5.6632 1.9287 1.5152
O 5.1618 0.0000 11.9417
O 4.6605 1.9287 22.3681
O 6.2960 0.0000 3.3247
O 5.2345 0.0000 18.0965
O 5.8003 1.9287 13.7991
O 6.3600 0.0000 9.4770
O 6.9144 1.9287 5.1796
O 7.3400 0.0000 0.4367
O 6.4556 0.0000 15.6525
O 7.5761 0.0000 7.0259
O 6.6341 0.0000 22.1384
O 7.0780 1.9287 17.5246
O 7.6323 0.0000 13.1768
O 8.2020 1.9287 8.8710
O 8.7262 0.0000 4.5176
O 7.6281 0.0000 19.4097
O 9.2370 1.9287 0.2907
O 8.8327 0.0000 10.7223
O 8.3691 1.9287 21.1935
O 9.9659 0.0000 2.0341
O 8.9141 0.0000 16.9317
O 9.4734 1.9287 12.5739
O 10.0371 0.0000 8.2489
O 8.9157 0.0000 23.1073
O 10.5616 1.9287 3.8956
O 10.0938 0.0000 14.4333
O 11.2020 0.0000 5.7562
O 10.1979 0.0000 20.5989
O 10.7364 1.9287 16.2835
```

Calculated values
Space-group type: P2/m, No. 10
Total energy, eV for the cell shown: -586.486

---

No. 2
The following is a GGA+U calculation of an optimized crystal structure of WO3, from the Materials Project.

```
16
Lattice="5.4782 0.0000 0.0000 0.0000 5.4815 0.0000 0.0000 0.0000 7.6976" Properties=species:S:1:pos:R:3 pbc="T T T"
W 0.0000 0.1419 1.9244
W 0.0000 5.3396 5.7732
W 2.7391 2.5988 5.7732
W 2.7391 2.8827 1.9244
O 0.0000 0.0000 0.0000
O 0.0000 0.0000 3.8488
O 1.3659 1.3356 5.7732
O 1.3659 4.1460 1.9244
O 1.3732 1.4052 1.9244
O 1.3732 4.0763 5.7732
O 2.7391 2.7408 0.0000
O 2.7391 2.7408 3.8488
O 4.1050 1.4052 1.9244
O 4.1050 4.0763 5.7732
O 4.1123 1.3356 5.7732
O 4.1123 4.1460 1.9244
```

Calculated values
Space-group type: Cmcm, No. 63
Total energy, eV for the cell shown: -120.258

---

No. 3
The following is a GGA+U calculation of an optimized crystal structure of WO2, from the Materials Project.

```
102
Lattice="11.4701 0.0000 0.0000 1.3152 11.5804 0.0000 1.2983 0.0635 11.6747" Properties=species:S:1:pos:R:3 pbc="T T T"
W 0.0000 0.0000 0.0000
W 12.8717 3.0877 9.5449
W 1.3839 7.6841 3.8718
W 0.9553 0.7272 6.6841
W 2.2237 6.2071 11.6353
W 3.1525 10.9504 2.9952
W 3.3121 4.2057 7.2121
W 4.2887 9.0765 10.5973
W 3.8910 7.8212 6.7996
W 2.8925 3.2744 1.6587
W 4.0764 2.1404 9.7095
W 4.1428 7.6295 1.4698
W 5.3815 10.4233 8.0035
W 4.6513 5.6839 3.9887
W 5.0209 1.0531 3.6940
W 5.7216 2.2900 7.2443
W 6.9591 7.3551 9.3031
W 6.8255 8.2863 6.0817
W 7.5854 3.6404 10.2578
W 8.0610 5.2465 6.8070
W 7.6940 6.1756 2.2809
W 8.4276 2.2546 5.1799
W 7.9695 0.6409 2.5624
W 8.6680 0.2567 8.0804
W 9.1041 0.5008 10.9429
W 10.2794 6.4595 10.7872
W 9.1188 3.0835 0.4815
W 10.0920 9.1435 1.5806
W 10.5819 8.1364 6.7750
W 10.9524 10.9161 5.0506
W 12.3402 9.3357 10.0447
W 11.4734 4.2636 5.9378
W 11.1214 1.7951 3.4301
W 12.5527 6.3278 8.6390
O 0.9721 2.6639 5.8260
O 0.2979 0.3245 1.9992
O 2.0485 7.6232 10.0919
O 0.6700 0.1530 4.6255
O 2.6530 10.1920 9.9133
O 2.1445 5.1010 10.0184
O 1.4256 2.7331 2.6094
O 2.4155 7.8559 5.3944
O 2.2897 1.4474 10.5907
O 1.9004 4.8464 0.9988
O 2.9518 6.1983 7.6294
O 3.5727 11.1181 7.2697
O 2.4188 7.5279 0.3016
O 2.8128 10.2794 0.4425
O 3.0832 6.7420 3.0445
O 3.6948 9.1506 2.6699
O 4.3647 2.8504 11.5005
O 4.7795 8.2591 8.7419
O 3.3347 0.0503 3.9685
O 4.0112 4.4655 5.3250
O 5.5156 10.3816 10.0117
O 4.0963 4.3625 2.4898
O 4.4363 0.8332 8.2182
O 5.2413 9.4876 6.2219
O 3.9821 1.7683 2.1447
O 5.2425 7.1880 5.3318
O 5.9926 7.9292 11.0649
O 5.0068 1.6416 5.4197
O 6.0245 2.7462 9.3271
O 5.9648 7.1456 1.8240
O 6.6725 6.6435 7.4391
O 7.0966 9.1370 7.9768
O 5.6402 3.5057 0.2039
O 6.9258 5.4461 9.7716
O 6.6516 5.5345 3.7834
O 7.4430 11.2919 3.0254
O 7.1010 3.6172 6.2982
O 7.8266 8.8464 4.7603
O 6.9785 2.0785 3.6277
O 7.4589 1.0502 6.7932
O 9.0197 11.2536 9.5909
O 8.7274 7.4869 9.6926
O 7.4785 1.7820 0.7907
O 8.9532 7.2763 6.6220
O 8.7265 1.9850 9.4040
O 8.7684 7.9109 2.0132
O 9.0874 10.8086 0.9224
O 9.4669 4.3651 10.7466
O 8.5882 4.6382 1.6745
O 10.0636 10.1001 6.8930
O 9.8419 4.4105 6.9217
O 10.3588 10.4231 3.0818
O 11.0413 8.5006 11.1587
O 9.5520 2.1133 2.1396
O 11.4713 10.9926 9.4076
O 10.2351 3.3375 4.6674
O 10.1818 0.6807 6.6799
O 10.9583 1.2680 11.2383
O 11.3547 8.7246 5.0939
O 10.6752 6.1349 0.4939
O 11.4997 6.3893 6.8561
O 11.8839 8.3872 8.3111
O 11.4639 9.9873 0.3259
O 12.0627 3.5424 11.4059
O 11.6706 8.0325 2.3652
O 12.2134 5.2562 4.6419
O 12.2405 1.6773 8.3711
O 12.5094 4.3619 7.8083
```

Calculated values
Space-group type: P1, No. 1
Total energy, eV for the cell shown: -737.166

---

No. 4
The following is a GGA+U calculation of an optimized crystal structure of W2O5, from the Materials Project.

```
14
Lattice="5.9284 0.0000 0.0000 0.0000 10.3393 0.0000 0.0000 0.0000 3.6904" Properties=species:S:1:pos:R:3 pbc="T T T"
W 1.3543 1.3806 0.0000
W 1.6099 6.5503 0.0000
W 4.3185 3.7890 0.0000
W 4.5741 8.9587 0.0000
O 0.0000 0.0000 3.6615
O 0.2467 2.8604 3.5970
O 1.1671 6.1247 1.7932
O 1.7971 0.9551 1.7932
O 2.7175 8.0300 3.5970
O 2.9642 5.1696 3.6615
O 3.2109 2.3093 3.5970
O 4.1313 9.3842 1.7932
O 4.7613 4.2146 1.7932
O 5.6817 7.4789 3.5970
```

Calculated values
Space-group type: Pba2, No. 32
Relative energy among the computed polymorphs, meV per atom: 173

---

No. 5
The following is a GGA+U calculation of an optimized crystal structure of WO3, from the Materials Project.

```
12
Lattice="7.5082 0.0000 0.0000 -3.7541 6.5023 0.0000 0.0000 0.0000 3.8626" Properties=species:S:1:pos:R:3 pbc="T T T"
W -1.8770 3.2511 0.0000
W 3.7541 0.0000 0.0000
W 1.8770 3.2511 0.0000
O -1.8770 3.2511 1.9313
O 0.0000 2.7820 0.0000
O -1.3448 5.1112 0.0000
O 2.4093 1.3910 0.0000
O 3.7541 0.0000 1.9313
O 1.8770 3.2511 1.9313
O 1.3448 5.1112 0.0000
O 5.0988 1.3910 0.0000
O 3.7541 3.7202 0.0000
```

Calculated values
Space-group type: P6/mmm, No. 191
Total energy, eV for the cell shown: -90.068

---

No. 6
The following is a GGA+U calculation of an optimized crystal structure of W2O5, from the Materials Project.

```
14
Lattice="4.0341 0.0000 0.0000 0.0000 12.9126 0.0000 0.0000 0.0000 3.8683" Properties=species:S:1:pos:R:3 pbc="T T T"
W 1.0085 1.2768 0.0672
W 1.0085 5.1795 0.0672
W 3.0256 7.7331 3.8011
W 3.0256 11.6358 3.8011
O 1.0085 1.2399 1.9692
O 1.0085 3.2282 0.0587
O 1.0085 5.2165 1.9692
O 1.0085 7.3207 0.0243
O 1.0085 12.0482 0.0243
O 3.0256 0.8644 3.8440
O 3.0256 5.5919 3.8440
O 3.0256 7.6962 1.8991
O 3.0256 9.6845 3.8096
O 3.0256 11.6728 1.8991
```

Calculated values
Space-group type: Pmmn, No. 59
Relative energy among the computed polymorphs, meV per atom: 0

---

Calculated density across the listed records, respectively: 6.8 6.7 7.9 6.6 6.1 7.4 g/cm3.